8
Lattice="1.3272 6.6131 -0.7409 -2.4665 -2.3278 5.8772 4.8241 -0.7758 1.7173" Properties=species:S:1:pos:R:3 comment="PmMg3 | the Materials Project database | r2SCAN | optimized geometry" total_energy_ev_per_atom=-10.606 pbc="T T T"
Mg -0.6494 -1.0814 5.2404
Mg 0.0364 2.3357 4.8575
Mg 3.6483 1.1738 1.9961
Mg 4.3341 4.5909 1.6132
Mg 3.0596 3.3881 4.6501
Mg 0.6251 0.1214 2.2035
Pm 2.4161 0.0707 4.9591
Pm 1.2687 3.4389 1.8945